# 1
The following is a DFT calculation (PBE-GGA) of LiAl4Tl4O12 after structural relaxation.

Cell: 5.312 5.431 7.881 Å, 90.80 92.32 90.18°
Space group P1 (No. 1)
Symmetry-distinct sites (fractional):
1 Li 0.000 0.000 0.000 x1
2 Al 0.146 0.579 0.079 x1
3 Al 0.156 0.620 0.565 x1
4 Al 0.602 0.104 0.097 x1
5 Al 0.667 0.104 0.574 x1
6 Tl 0.134 0.066 0.333 x1
7 Tl 0.196 0.178 0.778 x1
8 Tl 0.637 0.648 0.836 x1
9 Tl 0.656 0.569 0.332 x1
10 O 0.057 0.582 0.826 x1
11 O 0.237 0.629 0.319 x1
12 O 0.331 0.896 0.033 x1
13 O 0.373 0.897 0.609 x1
14 O 0.430 0.386 0.026 x1
15 O 0.459 0.411 0.618 x1
16 O 0.551 0.140 0.331 x1
17 O 0.757 0.066 0.815 x1
18 O 0.824 0.794 0.121 x1
19 O 0.876 0.830 0.514 x1
20 O 0.929 0.293 0.126 x1
21 O 0.950 0.326 0.526 x1

- total energy after the MP2020 corrections (eV/atom) = -6.16
- theoretical density (g/cm3) = 8.22
- M_tot (μB per cell) = 0.000
- formation energy (eV/atom) = -2.08
- energy above the most stable polymorph in this dataset (meV per atom) = 24
- calculated total energy (eV/atom) = -5.77

---

# 2
The following is a DFT calculation (PBE-GGA) of LiVN2 after structural relaxation.

Cell: 5.469 6.651 5.082 Å, 90.00 90.00 90.00°
Space group Pna2_1 (No. 33)
Symmetry-distinct sites (fractional):
1 Li 0.082 0.123 0.000 x4
2 V 0.074 0.625 0.013 x4
3 N 0.054 0.599 0.366 x4
4 N 0.106 0.155 0.425 x4

- total energy after the MP2020 corrections (eV/atom) = -7.93
- theoretical density (g/cm3) = 3.09
- largest piezoelectric modulus (C/m²) = 0.86
- formation energy (eV/atom) = -1.01
- calculated total energy (eV/atom) = -7.75